Ba2CoSi2O7 | PBE+U | relaxed

POSCAR file:
```
Ba2CoSi2O7
1.0
2.883 -0.232 -8.052
9.759 -3.239 3.588
-3.353 -7.538 2.316
O Co Ba Si
28 4 8 8
Direct
0.800 0.157 0.735
0.527 0.852 0.956
0.973 0.352 0.544
0.027 0.352 0.956
0.891 0.132 0.367
0.527 0.148 0.456
0.391 0.632 0.367
0.200 0.843 0.265
0.000 0.667 0.750
0.500 0.167 0.750
0.300 0.343 0.235
0.200 0.157 0.765
0.800 0.843 0.235
0.300 0.657 0.735
0.391 0.368 0.867
0.109 0.132 0.133
0.473 0.852 0.544
0.609 0.632 0.133
0.000 0.333 0.250
0.891 0.868 0.867
0.700 0.343 0.265
0.500 0.833 0.250
0.109 0.868 0.633
0.473 0.148 0.044
0.609 0.368 0.633
0.700 0.657 0.765
0.973 0.648 0.044
0.027 0.648 0.456
0.500 0.757 0.750
0.500 0.243 0.250
0.000 0.257 0.750
0.000 0.743 0.250
0.227 0.959 0.974
0.273 0.541 0.026
0.773 0.959 0.526
0.727 0.541 0.474
0.273 0.459 0.526
0.773 0.041 0.026
0.227 0.041 0.474
0.727 0.459 0.974
0.387 0.219 0.862
0.387 0.781 0.362
0.887 0.719 0.862
0.887 0.281 0.362
0.613 0.781 0.138
0.113 0.719 0.638
0.613 0.219 0.638
0.113 0.281 0.138
```

Results
Its formation energy from the elements is -3060 meV/atom. The spin magnetization comes out at 0.0 μB/f.u.

Ba6ZnCo5Si6O24 | PBE+U | relaxed

POSCAR file:
```
Ba6ZnCo5Si6O24
1.0
8.838 0.000 0.000
-0.003 9.227 0.000
-0.003 -4.609 7.999
Ba Zn Co Si O
6 1 5 6 24
Direct
0.000 0.000 0.000
0.007 0.667 0.333
0.480 0.334 0.666
0.500 0.667 0.333
0.508 0.001 0.000
0.980 0.335 0.667
0.196 0.664 0.986
0.194 0.016 0.678
0.194 0.322 0.336
0.694 0.004 0.348
0.694 0.346 0.996
0.694 0.652 0.655
0.297 0.345 0.007
0.297 0.663 0.655
0.297 0.994 0.337
0.797 0.005 0.678
0.797 0.323 0.326
0.797 0.674 0.996
0.205 0.097 0.517
0.205 0.483 0.578
0.206 0.422 0.903
0.239 0.798 0.227
0.240 0.430 0.202
0.240 0.774 0.571
0.279 0.094 0.232
0.279 0.140 0.906
0.279 0.768 0.861
0.476 0.399 0.012
0.476 0.614 0.602
0.476 0.988 0.386
0.705 0.184 0.754
0.705 0.246 0.429
0.705 0.571 0.817
0.740 0.238 0.130
0.740 0.870 0.107
0.740 0.894 0.763
0.779 0.529 0.427
0.779 0.574 0.101
0.779 0.900 0.472
0.976 0.054 0.732
0.976 0.269 0.321
0.976 0.680 0.947
```

Results
Its formation energy from the elements is -2816 meV/atom. The spin magnetization comes out at 15.0 μB/f.u.

BaSm2CoO5 | PBE+U | relaxed

POSCAR file:
```
BaSm2CoO5
1.0
-1.910 2.971 5.905
1.910 -2.971 5.905
1.910 2.971 -5.905
Ba Sm Co O
1 2 1 5
Direct
0.000 0.000 0.000
0.297 0.797 0.500
0.703 0.203 0.500
0.500 0.500 0.000
0.109 0.352 0.757
0.406 0.648 0.757
0.500 0.000 0.500
0.594 0.352 0.243
0.891 0.648 0.243
```

Results
Its formation energy from the elements is -3080 meV/atom. The spin magnetization comes out at 3.0 μB/f.u.

BaSmCo4O12 | PBE+U | relaxed

POSCAR file:
```
BaSmCo4O12
1.0
5.392 0.000 0.000
0.000 5.392 0.000
0.000 0.000 7.556
Ba Sm Co O
1 1 4 12
Direct
0.000 0.000 0.000
0.500 0.500 0.500
0.000 0.500 0.248
0.000 0.500 0.752
0.500 0.000 0.248
0.500 0.000 0.752
0.000 0.500 0.000
0.000 0.500 0.500
0.261 0.261 0.266
0.261 0.261 0.734
0.261 0.739 0.266
0.261 0.739 0.734
0.500 0.000 0.000
0.500 0.000 0.500
0.739 0.261 0.266
0.739 0.261 0.734
0.739 0.739 0.266
0.739 0.739 0.734
```

Results
Its formation energy from the elements is -1378 meV/atom. The spin magnetization comes out at 15.8 μB/f.u.

Ba4Sr2Sm2Co4O15 | PBE+U | relaxed

POSCAR file:
```
Ba4Sr2Sm2Co4O15
1.0
6.885 0.000 0.000
0.004 11.748 0.000
0.061 5.846 10.202
Ba Sr Sm Co O
8 4 4 8 30
Direct
0.000 0.000 0.000
0.001 0.004 0.523
0.007 0.477 0.522
0.180 0.490 0.014
0.498 0.651 0.174
0.501 0.171 0.175
0.507 0.652 0.691
0.694 0.160 0.682
0.187 0.826 0.348
0.339 0.301 0.399
0.688 0.826 0.348
0.843 0.778 0.871
0.337 0.302 0.823
0.338 0.877 0.823
0.837 0.350 0.870
0.840 0.350 0.299
0.006 0.175 0.172
0.009 0.652 0.171
0.017 0.654 0.698
0.162 0.161 0.682
0.505 0.002 0.996
0.508 0.004 0.524
0.514 0.473 0.522
0.637 0.495 0.012
0.004 0.238 0.523
0.009 0.241 0.764
0.018 0.999 0.762
0.126 0.223 0.282
0.128 0.494 0.286
0.134 0.222 0.011
0.141 0.489 0.745
0.156 0.764 0.019
0.157 0.759 0.742
0.331 0.079 0.846
0.334 0.072 0.605
0.337 0.325 0.607
0.426 0.641 0.444
0.427 0.922 0.166
0.427 0.922 0.435
0.501 0.656 0.932
0.502 0.406 0.929
0.515 0.408 0.180
0.624 0.891 0.951
0.625 0.889 0.681
0.635 0.162 0.950
0.641 0.427 0.684
0.654 0.155 0.411
0.655 0.431 0.414
0.834 0.323 0.095
0.836 0.572 0.105
0.837 0.568 0.843
0.925 0.731 0.531
0.927 0.006 0.252
0.929 0.740 0.254
```

Results
Its formation energy from the elements is -2588 meV/atom. The spin magnetization comes out at 12.0 μB/f.u.

Ba3Co8Sn3O20 | PBE+U | relaxed

POSCAR file:
```
Ba3Co8Sn3O20
1.0
8.232 -6.043 0.000
8.232 6.043 0.000
-1.627 0.000 5.072
Ba Co Sn O
3 8 3 20
Direct
0.000 0.000 0.000
0.274 0.274 0.270
0.726 0.726 0.730
0.013 0.277 0.660
0.134 0.577 0.837
0.277 0.013 0.660
0.423 0.866 0.163
0.577 0.134 0.837
0.723 0.987 0.340
0.866 0.423 0.163
0.987 0.723 0.340
0.356 0.644 0.500
0.500 0.500 0.000
0.644 0.356 0.500
0.006 0.283 0.012
0.094 0.094 0.517
0.120 0.397 0.678
0.162 0.667 0.575
0.283 0.006 0.012
0.305 0.547 0.109
0.333 0.838 0.425
0.397 0.120 0.678
0.434 0.434 0.602
0.453 0.695 0.891
0.547 0.305 0.109
0.566 0.566 0.398
0.603 0.880 0.322
0.667 0.162 0.575
0.695 0.453 0.891
0.717 0.994 0.988
0.838 0.333 0.425
0.880 0.603 0.322
0.906 0.906 0.483
0.994 0.717 0.988
```

Results
Its formation energy from the elements is -1751 meV/atom. The spin magnetization comes out at 18.0 μB/f.u.

BaSr3Co4O12 | PBE+U | relaxed

POSCAR file:
```
BaSr3Co4O12
1.0
5.536 0.000 0.000
0.000 4.767 0.000
-0.003 0.000 9.585
Ba Sr Co O
1 3 4 12
Direct
0.000 0.000 0.000
0.499 0.500 0.170
0.500 0.000 0.502
0.999 0.500 0.665
0.000 0.250 0.338
0.000 0.750 0.338
0.500 0.250 0.829
0.500 0.750 0.829
0.001 0.500 0.185
0.228 0.500 0.413
0.236 0.000 0.264
0.270 0.500 0.907
0.274 0.000 0.751
0.499 0.000 0.982
0.500 0.500 0.678
0.728 0.500 0.906
0.729 0.000 0.749
0.767 0.500 0.413
0.769 0.000 0.265
0.999 0.000 0.490
```

Results
As for the relative energy among the computed polymorphs: 0.000 eV/atom. Its formation energy from the elements is -2032 meV/atom. The spin magnetization comes out at 0.1 μB/f.u.

Ba3SrCo4O12 | PBE+U | relaxed

POSCAR file:
```
Ba3SrCo4O12
1.0
4.786 0.000 0.000
-0.016 5.676 0.000
-0.011 -0.013 9.815
Ba Sr Co O
3 1 4 12
Direct
0.000 0.000 0.000
0.000 0.500 0.497
0.500 0.499 0.831
0.500 0.998 0.332
0.250 0.000 0.661
0.250 0.500 0.168
0.750 0.000 0.661
0.750 0.500 0.168
0.000 0.000 0.511
0.000 0.224 0.737
0.000 0.777 0.737
0.001 0.499 0.019
0.002 0.277 0.241
0.499 0.500 0.317
0.499 0.725 0.097
0.500 0.000 0.811
0.500 0.221 0.583
0.500 0.778 0.583
0.502 0.271 0.096
0.998 0.727 0.243
```

Results
As for the relative energy among the computed polymorphs: 0.005 eV/atom. Its formation energy from the elements is -2036 meV/atom. The spin magnetization comes out at 2.0 μB/f.u.